An optimized crystal structure of Na8CaZr3Si5SO24. Source: the Materials Project, functional PBE-GGA.

```
Na8CaZr3Si5SO24
1.0
9.3820 0.0074 0.0196
-4.6845 8.1088 -0.0209
0.0502 -0.0378 22.7505
Na Ca Zr Si S O
24 3 9 15 3 72
Cartesian
6.0177 0.2262 5.5610
1.6616 2.9324 5.3640
6.4430 4.9972 5.4257
3.0744 4.9523 16.9687
7.5734 2.9536 17.2213
3.6140 0.0836 16.9921
1.5191 2.7195 13.4753
-3.0098 5.7076 13.1806
1.6439 7.8126 13.5758
-1.6043 7.8782 1.6796
2.9855 5.5713 1.6612
-1.4006 2.8462 1.7369
5.9870 5.3658 20.7664
6.4449 0.2541 20.7699
1.7910 2.3994 20.7639
7.7335 2.2773 9.3232
2.8688 0.1933 9.6105
3.5252 5.5369 9.6170
-4.6254 8.0370 11.2551
-4.6259 8.0660 22.5927
4.7281 2.6725 18.7933
4.9647 2.6760 7.6387
-0.0310 5.3326 3.5402
0.1126 5.4802 15.3216
9.3776 0.0244 8.0595
4.6762 2.6617 15.6049
4.7397 2.7055 3.9930
4.7426 8.0716 19.3872
-4.5926 8.0171 14.7999
-0.0492 0.1295 3.2442
4.7556 2.6910 22.3779
4.5952 2.7089 10.9270
0.0028 5.4098 0.3164
0.0502 5.4495 11.7453
-0.0102 5.3129 7.2502
0.0673 5.3811 18.5236
-1.3958 2.4882 5.7626
1.3601 2.3847 17.0835
-3.1815 5.6908 17.0976
1.9891 8.0327 17.0845
3.2896 0.2152 13.2966
3.2903 5.1764 13.3015
6.1412 5.1962 1.9608
6.0708 0.2262 1.9693
1.8574 2.7548 1.9513
2.8588 5.3505 20.8479
-1.3627 2.9596 20.8390
-1.3261 7.8084 20.8437
1.3429 7.8261 9.4220
1.4498 3.0104 9.5280
-2.7602 5.2862 9.5136
-1.8669 8.0418 5.6834
3.2550 5.7126 5.6886
7.5343 2.6718 13.2450
-2.6406 8.0614 6.9200
3.7563 6.3125 6.9249
8.3327 1.7215 7.1425
0.9127 1.4913 18.3936
5.6161 6.4983 18.4280
2.9641 8.0816 18.4098
2.9452 7.9446 15.7213
0.7998 1.6140 15.7162
-3.5922 6.5821 15.7415
3.6701 6.5316 4.5062
-0.7556 1.6026 4.4698
-2.7763 7.9728 4.4946
6.7501 2.8549 14.4711
4.0514 0.7429 14.6063
3.4697 4.2908 14.6258
6.0402 4.3482 3.3210
5.4541 0.7108 3.3688
2.6009 2.9968 3.3521
2.9425 2.5410 0.7292
5.3916 4.3841 0.7243
5.7621 1.2969 0.7471
3.6833 1.2126 12.0006
3.9790 4.3582 12.0033
6.6337 2.5806 12.0560
1.8949 5.5211 22.1652
-0.7279 3.7017 22.1570
-1.0090 6.8805 22.1608
0.8720 6.9063 10.7026
0.8624 3.8059 10.8238
-1.7847 5.3816 10.8176
-1.7673 5.1819 8.1649
0.7402 7.0647 8.0647
1.0844 3.9344 8.1810
-1.0474 3.9152 19.5345
-0.6472 7.0530 19.5498
1.8711 5.1480 19.5473
-3.7160 6.5828 9.4640
2.9508 7.9259 9.5040
0.8917 1.5034 9.5151
-0.7035 1.4539 20.7948
-2.9606 7.9820 20.7866
3.8250 6.6803 20.8141
8.3499 1.4235 13.2749
1.6285 0.2070 13.3178
4.0257 6.6653 13.2982
5.4097 6.6783 2.0786
7.7405 0.1162 2.0240
0.9523 1.3479 1.9782
5.7591 1.2523 17.1214
2.9687 2.5146 17.1327
5.5490 4.2257 17.0883
3.7693 4.3233 5.6091
6.3645 2.6614 5.6942
3.6702 1.1515 5.6551
3.7947 4.0058 20.9815
6.3857 2.8409 20.9904
4.0635 1.1778 21.0119
5.3128 1.1959 9.5530
3.1056 2.9920 9.5476
5.7663 3.8903 9.5606
0.8048 3.9897 1.7222
-1.6306 5.4293 1.7028
0.8383 6.8127 1.6959
-0.8892 6.7558 13.0950
1.6470 5.3997 13.1415
-0.9208 3.8345 13.1224
-0.9984 6.8059 5.6307
1.7435 5.6827 5.6667
-0.6008 3.9840 5.6696
0.5992 3.8495 17.1063
-1.5378 5.6700 17.1056
1.1049 6.6392 17.1083
```

---

An optimized crystal structure of Na6Ca2Zr6Si5S7O48. Source: the Materials Project, functional PBE-GGA.

```
Na6Ca2Zr6Si5S7O48
1.0
-8.7554 7.5025 14.1219
6.4624 -6.3205 1.4457
16.3333 16.9502 1.0730
Na Ca Zr Si S O
18 6 18 15 21 144
Cartesian
6.0179 12.6079 10.4946
9.4402 9.5676 8.9299
8.5987 9.9699 13.5797
6.2679 -3.4011 3.7649
3.0584 -0.3835 5.5498
3.6960 -0.5822 0.8935
14.3567 2.1810 2.1101
3.9710 12.1000 7.4594
-2.3097 1.4004 15.4237
-4.3288 3.7365 7.1799
12.6159 14.3363 5.9168
8.5457 18.2895 13.0077
4.7748 6.1141 5.3325
0.2028 9.5690 12.6020
5.4240 -0.3319 3.4218
1.3513 3.7020 10.7456
13.6202 8.3851 4.1715
9.0454 11.7699 11.0346
10.4648 12.1285 5.9008
6.0598 15.7396 12.9617
2.2696 3.5638 5.3603
-1.9560 7.3432 12.4549
3.0870 -2.7478 3.3197
6.8364 9.4877 10.9145
12.2136 -0.2166 1.8400
7.8378 3.4360 8.8746
13.9508 14.4560 0.9239
9.5409 18.2168 8.0075
10.5498 10.9627 0.8042
6.2481 14.5990 7.6477
0.0701 3.7691 15.6075
-1.9244 6.2895 7.2968
15.2723 17.1823 6.1591
10.9289 20.6161 13.3084
6.9304 8.5870 5.6430
2.8901 12.2412 12.7983
-1.2874 0.9816 10.4917
11.1735 5.6690 3.8732
8.0665 2.4838 3.6136
3.5887 6.0174 10.8090
16.0185 10.7986 4.2492
11.8359 14.5825 11.3546
4.8919 2.8316 10.8144
1.2644 6.2276 13.3616
12.9266 11.9712 3.2739
9.2088 15.4426 5.8305
7.5359 11.3767 7.8602
3.8088 14.7914 10.3521
6.3882 12.1829 13.3843
-3.1535 4.8265 14.7942
-1.3469 3.7565 4.9449
1.9254 0.7391 3.1445
12.1271 17.3874 13.4714
15.3724 14.4530 11.7896
10.2027 3.3229 6.2765
7.7431 5.9648 3.3501
10.9186 3.0262 1.6128
9.2426 -0.9186 3.7364
5.6139 2.3510 6.2779
5.9074 2.4450 0.8124
1.6292 6.2282 7.7992
8.5682 15.7033 10.3243
16.9044 8.2743 1.8756
12.4666 11.9912 8.9991
11.1980 12.8565 14.2931
3.0994 15.1547 15.0288
8.0921 11.0747 3.2807
10.6711 8.4134 6.1725
1.1813 1.0354 7.8308
-5.6837 7.3828 11.8676
-2.4860 4.3746 10.2208
16.4438 13.7205 6.4236
17.1896 13.3002 1.7296
12.8392 17.0439 8.8773
19.7323 10.6336 4.7855
5.9262 7.0263 13.3796
3.2949 9.7108 10.4015
6.5512 6.7131 8.6723
10.5162 -0.4573 3.1326
6.2876 3.2590 10.0546
6.6523 2.9185 7.1821
2.4061 6.7950 14.3721
1.8526 7.6778 7.5911
6.0475 3.9149 0.7513
13.5427 13.1975 2.3542
9.1395 16.8662 9.5665
13.9410 12.1936 9.2356
9.6169 16.0316 16.0676
16.0596 10.4986 8.0984
11.5649 14.0986 15.0255
14.1889 8.6552 7.8254
9.8897 12.3354 14.7917
11.8366 11.1903 2.2953
7.5650 14.9904 9.4869
16.6333 6.8185 2.0679
12.1259 10.5556 9.1994
4.9700 1.1557 6.9810
0.6352 4.8711 14.0828
4.4409 2.0617 0.7097
0.1497 5.9355 7.7131
8.7437 -2.1459 3.0073
4.3251 1.5008 9.9644
9.0579 11.6596 7.4852
4.4187 15.6278 14.6458
8.9930 11.8262 4.1172
4.5872 15.7341 11.3966
11.0436 9.7859 5.8936
6.6807 13.7079 13.0317
1.7198 2.2644 7.2903
-2.8599 6.2385 14.1164
0.2227 4.0044 4.9077
-4.2928 7.7558 11.7559
2.5416 1.7512 4.2188
-1.8765 5.4089 11.0173
0.3482 0.3610 3.7455
-3.8475 3.9727 10.7040
0.2970 0.3113 6.8444
-4.2051 3.9884 13.7726
-1.6193 2.0852 5.2216
-5.9125 5.9305 12.0779
7.5655 9.8387 3.9337
3.3271 13.3901 11.1675
9.2067 8.1731 6.1292
4.7244 11.8988 13.3726
6.9752 10.0930 6.9432
2.6048 14.0599 14.1379
17.7827 14.2070 6.0819
13.5707 17.8458 12.8389
18.0544 14.1776 2.5069
13.7399 17.8034 9.7886
20.1811 12.0024 4.5434
15.5795 16.0576 11.4744
10.8052 4.6416 5.5235
6.4529 8.2955 12.8660
9.3622 6.2220 3.3648
4.6912 10.1586 10.3581
11.4942 4.2305 2.5648
7.2407 7.7720 9.4093
9.4560 2.5680 2.2127
5.2357 6.3831 9.2694
9.2034 2.5204 5.2610
4.9918 6.4176 12.3540
7.4667 4.3691 3.6641
3.1875 8.2457 10.5981
16.7394 12.1234 2.5127
12.2915 15.8490 9.5692
18.2635 10.4922 4.6929
13.7284 14.2069 11.7215
16.0477 12.5862 5.5225
11.5959 16.1400 12.5380
11.9980 1.7889 1.6971
7.4675 5.5239 8.6937
9.4586 3.8125 7.6498
5.1832 7.3342 14.6303
7.1579 6.4090 1.8936
2.6933 10.0925 9.0798
16.0289 14.1340 1.2727
11.7376 17.9830 8.4979
20.4078 9.7729 3.7591
16.1671 13.6014 10.6407
16.5051 13.2679 7.8515
12.3343 16.9794 15.0314
6.4412 12.6314 7.6242
2.0788 16.2781 14.8386
8.8143 10.5820 2.0333
4.7311 14.2795 9.0479
11.0741 8.0497 7.6111
6.9730 11.7029 14.8775
2.2921 0.0511 8.1437
-1.8742 3.7900 15.1065
-2.1789 4.6071 6.1257
-6.3667 8.0786 13.0276
1.6643 1.2917 1.6010
-2.6827 4.8147 8.7871
10.3544 14.3638 5.9540
5.8248 18.2117 12.9935
12.3381 12.4959 4.6395
7.9803 16.2530 11.5529
12.1551 12.4779 7.6673
7.6684 16.2893 14.7183
4.6177 3.3844 6.0156
0.1851 7.3141 12.9759
2.3893 5.4946 6.7961
-2.0834 9.3327 13.8552
3.0493 5.0915 3.6999
-1.3586 8.8968 10.9108
15.4178 14.7899 6.3176
11.0545 18.6150 13.3167
13.5726 16.5959 7.6729
9.1191 20.3072 14.6174
13.7077 16.4899 4.7040
9.4565 20.3966 11.8247
4.9777 8.6332 5.2360
0.5287 12.3709 12.2178
7.0382 6.8588 4.5246
2.5497 10.4063 11.4881
6.3440 7.0859 7.2451
2.0077 11.0407 14.2008
2.8749 -0.5634 3.0900
-1.5798 3.1793 10.1885
4.9200 -2.4146 2.1210
0.4213 1.3446 9.0740
4.4704 -2.1536 4.9655
0.0945 1.5265 12.0382
13.4427 5.6379 4.2748
9.0327 9.3313 11.2057
11.4227 7.5190 5.2362
7.1054 11.2339 12.2882
11.8746 7.2604 2.3389
7.4439 11.0545 9.4460
8.1925 0.1223 3.5880
3.8103 4.0762 10.5121
6.2482 1.8239 5.0504
2.0757 5.6638 12.0004
6.3607 1.9508 2.1605
2.0427 5.8536 9.1785
14.2083 10.9176 3.5184
9.6789 14.7534 10.6211
16.2499 8.9871 3.0144
11.7321 12.7775 10.0481
15.4382 9.6162 5.6854
10.9922 13.2227 12.8467
```

---

no.,calculated formation energy (eV/atom),E_tot (eV per atom)
1,-2.952,-7.04
2,-2.759,-7.13